Record 1
{"formula": "Sm2CdAu2", "functional": "PBE", "state": "relaxed", "ef_ev_per_fu": -3.6, "cell": [[8.121, 0.000, 0.000], [0.000, 8.121, 0.000], [0.000, 0.000, 3.786]], "species": ["Sm", "Sm", "Sm", "Sm", "Cd", "Cd", "Au", "Au", "Au", "Au"], "frac_coords": [[0.174, 0.326, 0.000], [0.326, 0.826, 0.000], [0.674, 0.174, 0.000], [0.826, 0.674, 0.000], [0.000, 0.000, 0.500], [0.500, 0.500, 0.500], [0.126, 0.626, 0.500], [0.374, 0.126, 0.500], [0.626, 0.874, 0.500], [0.874, 0.374, 0.500]]}

Record 2
{"formula": "SmCdAu2", "functional": "PBE", "state": "relaxed", "ef_ev_per_fu": -2.6, "cell": [[7.087, 0.000, 0.000], [0.000, 7.087, 0.000], [0.000, 0.000, 7.087]], "species": ["Sm", "Sm", "Sm", "Sm", "Cd", "Cd", "Cd", "Cd", "Au", "Au", "Au", "Au", "Au", "Au", "Au", "Au"], "frac_coords": [[0.000, 0.000, 0.000], [0.000, 0.500, 0.500], [0.500, 0.000, 0.500], [0.500, 0.500, 0.000], [0.000, 0.000, 0.500], [0.000, 0.500, 0.000], [0.500, 0.000, 0.000], [0.500, 0.500, 0.500], [0.250, 0.250, 0.250], [0.250, 0.250, 0.750], [0.250, 0.750, 0.250], [0.250, 0.750, 0.750], [0.750, 0.250, 0.250], [0.750, 0.250, 0.750], [0.750, 0.750, 0.250], [0.750, 0.750, 0.750]]}

Record 3
{"formula": "CdSnAu", "functional": "PBE", "state": "relaxed", "ef_ev_per_fu": -0.6, "cell": [[6.648, 0.000, 0.000], [0.000, 6.648, 0.000], [0.000, 0.000, 6.648]], "species": ["Cd", "Cd", "Cd", "Cd", "Sn", "Sn", "Sn", "Sn", "Au", "Au", "Au", "Au"], "frac_coords": [[0.000, 0.000, 0.000], [0.000, 0.500, 0.500], [0.500, 0.000, 0.500], [0.500, 0.500, 0.000], [0.000, 0.000, 0.500], [0.000, 0.500, 0.000], [0.500, 0.000, 0.000], [0.500, 0.500, 0.500], [0.250, 0.250, 0.250], [0.250, 0.750, 0.750], [0.750, 0.250, 0.750], [0.750, 0.750, 0.250]]}

Record 4
{"formula": "CdSnAu", "functional": "PBE", "state": "relaxed", "ef_ev_per_fu": 0.0, "cell": [[6.737, 0.000, 0.000], [0.000, 6.737, 0.000], [0.000, 0.000, 6.737]], "species": ["Cd", "Cd", "Cd", "Cd", "Sn", "Sn", "Sn", "Sn", "Au", "Au", "Au", "Au"], "frac_coords": [[0.000, 0.000, 0.000], [0.000, 0.500, 0.500], [0.500, 0.000, 0.500], [0.500, 0.500, 0.000], [0.250, 0.250, 0.250], [0.250, 0.750, 0.750], [0.750, 0.250, 0.750], [0.750, 0.750, 0.250], [0.000, 0.000, 0.500], [0.000, 0.500, 0.000], [0.500, 0.000, 0.000], [0.500, 0.500, 0.500]]}

Record 5
{"formula": "Sr2CdAu3", "functional": "PBE", "state": "relaxed", "ef_ev_per_fu": -3.9, "cell": [[11.283, 0.000, 0.000], [0.000, 4.883, 0.000], [-5.110, 0.000, 5.753]], "species": ["Sr", "Sr", "Sr", "Sr", "Cd", "Cd", "Au", "Au", "Au", "Au", "Au", "Au"], "frac_coords": [[0.000, 0.000, 0.000], [0.086, 0.000, 0.591], [0.500, 0.500, 0.000], [0.586, 0.500, 0.591], [0.210, 0.500, 0.394], [0.710, 0.000, 0.394], [0.204, 0.500, 0.001], [0.376, 0.000, 0.587], [0.385, 0.000, 0.181], [0.704, 0.000, 0.001], [0.876, 0.500, 0.587], [0.885, 0.500, 0.181]]}

Record 6
{"formula": "SrCdAu", "functional": "PBE", "state": "relaxed", "ef_ev_per_fu": -1.8, "cell": [[7.919, 0.000, 0.000], [0.000, 4.570, 0.000], [0.000, 0.000, 9.021]], "species": ["Sr", "Sr", "Sr", "Sr", "Cd", "Cd", "Cd", "Cd", "Au", "Au", "Au", "Au"], "frac_coords": [[0.034, 0.250, 0.184], [0.466, 0.750, 0.684], [0.534, 0.250, 0.316], [0.966, 0.750, 0.816], [0.145, 0.250, 0.564], [0.355, 0.750, 0.064], [0.645, 0.250, 0.936], [0.855, 0.750, 0.436], [0.236, 0.750, 0.376], [0.264, 0.250, 0.876], [0.736, 0.750, 0.124], [0.764, 0.250, 0.624]]}

Record 7
{"formula": "ThCdAu2", "functional": "PBE", "state": "relaxed", "ef_ev_per_fu": -2.4, "cell": [[7.163, 0.000, 0.000], [0.000, 7.163, 0.000], [0.000, 0.000, 7.163]], "species": ["Th", "Th", "Th", "Th", "Cd", "Cd", "Cd", "Cd", "Au", "Au", "Au", "Au", "Au", "Au", "Au", "Au"], "frac_coords": [[0.000, 0.000, 0.000], [0.000, 0.500, 0.500], [0.500, 0.000, 0.500], [0.500, 0.500, 0.000], [0.000, 0.000, 0.500], [0.000, 0.500, 0.000], [0.500, 0.000, 0.000], [0.500, 0.500, 0.500], [0.250, 0.250, 0.250], [0.250, 0.250, 0.750], [0.250, 0.750, 0.250], [0.250, 0.750, 0.750], [0.750, 0.250, 0.250], [0.750, 0.250, 0.750], [0.750, 0.750, 0.250], [0.750, 0.750, 0.750]]}

Record 8
{"formula": "TmCdAu2", "functional": "PBE", "state": "relaxed", "ef_ev_per_fu": -2.7, "cell": [[6.936, 0.000, 0.000], [0.000, 6.936, 0.000], [0.000, 0.000, 6.936]], "species": ["Tm", "Tm", "Tm", "Tm", "Cd", "Cd", "Cd", "Cd", "Au", "Au", "Au", "Au", "Au", "Au", "Au", "Au"], "frac_coords": [[0.000, 0.000, 0.000], [0.000, 0.500, 0.500], [0.500, 0.000, 0.500], [0.500, 0.500, 0.000], [0.000, 0.000, 0.500], [0.000, 0.500, 0.000], [0.500, 0.000, 0.000], [0.500, 0.500, 0.500], [0.250, 0.250, 0.250], [0.250, 0.250, 0.750], [0.250, 0.750, 0.250], [0.250, 0.750, 0.750], [0.750, 0.250, 0.250], [0.750, 0.250, 0.750], [0.750, 0.750, 0.250], [0.750, 0.750, 0.750]]}

Please write out number 1 again, unchanged.
{"formula": "Sm2CdAu2", "functional": "PBE", "state": "relaxed", "ef_ev_per_fu": -3.6, "cell": [[8.121, 0.000, 0.000], [0.000, 8.121, 0.000], [0.000, 0.000, 3.786]], "species": ["Sm", "Sm", "Sm", "Sm", "Cd", "Cd", "Au", "Au", "Au", "Au"], "frac_coords": [[0.174, 0.326, 0.000], [0.326, 0.826, 0.000], [0.674, 0.174, 0.000], [0.826, 0.674, 0.000], [0.000, 0.000, 0.500], [0.500, 0.500, 0.500], [0.126, 0.626, 0.500], [0.374, 0.126, 0.500], [0.626, 0.874, 0.500], [0.874, 0.374, 0.500]]}

Question: Number 8 is which compound?
Answer: TmCdAu2